Computed, not measured: crystalline NaTeH6O6F at its relaxed geometry at the GGA-PBE level of DFT.

abc: 6.1034 6.1034 13.4756
angles: 90.00 90.00 120.00
Closest atoms and distances in Å follow each position.
Space group R3 (No. 146, hexagonal axes)
Unique sites:
1 Na 0.0000 0.0000 0.0000 (multiplicity 3)  6 O 2.39-2.66, 1 F 2.42
2 Te 0.0000 0.0000 0.3734 (multiplicity 3)  6 O 1.95-1.96
3 H 0.0204 0.5409 0.9006 (multiplicity 9)  1 O 1.00
4 H 0.1136 0.4082 0.4638 (multiplicity 9)  1 O 1.03
5 O 0.0170 0.7418 0.2945 (multiplicity 9)  1 H 1.00
6 O 0.0965 0.3797 0.1220 (multiplicity 9)  1 H 1.03
7 F 0.0000 0.0000 0.8201 (multiplicity 3)  3 H 1.51

Computed properties:
DFT total energy	-4.989	eV per atom
largest piezoelectric modulus	0.7	C/m²